Here is an optimized crystal structure of Zr2Np from the Materials Project database. Energies are from PBE.

Cell and atoms, written as CIF:
```
data_Zr2Np
_chemical_formula_sum 'Zr2 Np1'
_symmetry_space_group_name_H-M 'P 1'
_symmetry_Int_Tables_number 1
_symmetry_space_group_name_Hall 'P 1'
_cell_length_a 5.235
_cell_length_b 5.235
_cell_length_c 2.812
_cell_angle_alpha 90.00
_cell_angle_beta 90.00
_cell_angle_gamma 120.00
loop_
_atom_site_label
_atom_site_type_symbol
_atom_site_fract_x
_atom_site_fract_y
_atom_site_fract_z
_atom_site_occupancy
Zr1 Zr 0.333 0.667 0.000 1
Zr2 Zr 0.667 0.333 0.000 1
Np1 Np 0.000 0.000 0.500 1
```

- spin magnetization (Bohr magnetons per cell) = 0.300

---

Here is an optimized crystal structure of LiZrIr2 from the Materials Project database. Energies are from PBE.

Cell and atoms, written as CIF:
```
data_LiZrIr2
_chemical_formula_sum 'Li4 Zr4 Ir8'
_symmetry_space_group_name_H-M 'P 1'
_symmetry_Int_Tables_number 1
_symmetry_space_group_name_Hall 'P 1'
_cell_length_a 6.305
_cell_length_b 6.305
_cell_length_c 6.305
_cell_angle_alpha 90.00
_cell_angle_beta 90.00
_cell_angle_gamma 90.00
loop_
_atom_site_label
_atom_site_type_symbol
_atom_site_fract_x
_atom_site_fract_y
_atom_site_fract_z
_atom_site_occupancy
Li1 Li 0.000 0.000 0.000 1
Li2 Li 0.000 0.500 0.500 1
Li3 Li 0.500 0.000 0.500 1
Li4 Li 0.500 0.500 0.000 1
Zr1 Zr 0.000 0.000 0.500 1
Zr2 Zr 0.000 0.500 0.000 1
Zr3 Zr 0.500 0.000 0.000 1
Zr4 Zr 0.500 0.500 0.500 1
Ir1 Ir 0.250 0.250 0.250 1
Ir2 Ir 0.250 0.250 0.750 1
Ir3 Ir 0.250 0.750 0.250 1
Ir4 Ir 0.250 0.750 0.750 1
Ir5 Ir 0.750 0.250 0.250 1
Ir6 Ir 0.750 0.250 0.750 1
Ir7 Ir 0.750 0.750 0.250 1
Ir8 Ir 0.750 0.750 0.750 1
```

---

Here is an optimized crystal structure of BaLu2Se4 from the Materials Project database. Energies are from PBE.

Cell and atoms, written as CIF:
```
data_BaLu2Se4
_chemical_formula_sum 'Ba4 Lu8 Se16'
_symmetry_space_group_name_H-M 'P 1'
_symmetry_Int_Tables_number 1
_symmetry_space_group_name_Hall 'P 1'
_cell_length_a 12.750
_cell_length_b 4.155
_cell_length_c 15.027
_cell_angle_alpha 90.00
_cell_angle_beta 90.00
_cell_angle_gamma 90.00
loop_
_atom_site_label
_atom_site_type_symbol
_atom_site_fract_x
_atom_site_fract_y
_atom_site_fract_z
_atom_site_occupancy
Ba1 Ba 0.240 0.250 0.166 1
Ba2 Ba 0.260 0.750 0.666 1
Ba3 Ba 0.740 0.250 0.334 1
Ba4 Ba 0.760 0.750 0.834 1
Lu1 Lu 0.060 0.250 0.390 1
Lu2 Lu 0.082 0.250 0.902 1
Lu3 Lu 0.418 0.750 0.402 1
Lu4 Lu 0.440 0.750 0.890 1
Lu5 Lu 0.560 0.250 0.110 1
Lu6 Lu 0.582 0.250 0.598 1
Lu7 Lu 0.918 0.750 0.098 1
Lu8 Lu 0.940 0.750 0.610 1
Se1 Se 0.028 0.750 0.785 1
Se2 Se 0.085 0.250 0.575 1
Se3 Se 0.123 0.750 0.025 1
Se4 Se 0.203 0.750 0.340 1
Se5 Se 0.297 0.250 0.840 1
Se6 Se 0.377 0.250 0.525 1
Se7 Se 0.415 0.750 0.075 1
Se8 Se 0.472 0.250 0.285 1
Se9 Se 0.528 0.750 0.715 1
Se10 Se 0.585 0.250 0.925 1
Se11 Se 0.623 0.750 0.475 1
Se12 Se 0.703 0.750 0.160 1
Se13 Se 0.797 0.250 0.660 1
Se14 Se 0.877 0.250 0.975 1
Se15 Se 0.915 0.750 0.425 1
Se16 Se 0.972 0.250 0.215 1
```

---

Let's list VASP energy in order: -28.42, -121.89, -154.32 eV/cell.
Let's list calculated formation energy in order: 0.543, -0.585, -2.218 eV per atom.